[1]
VASP calculation (r²SCAN) on crystalline Hf6Al16Rh7 at its relaxed geometry.

abc: 12.2047 12.2047 12.2047
angles: 90.00 90.00 90.00
With the nearest neighbours (Å) after each atom.
Space group Fm-3m (No. 225)
Asymmetric unit:
Hf 0.0000 0.0000 0.1861  8 Al 2.83-3.14, 4 Rh 3.15
Al 0.1194 0.1194 0.3806  4 Rh 2.52-2.68, 3 Al 2.76
Al 0.1632 0.1632 0.1632  3 Rh 2.49, 3 Al 2.76
Rh 0.0000 0.0000 0.5000  8 Al 2.52
Rh 0.0000 0.2500 0.2500  8 Al 2.49-2.68

Results
VASP energy: -2291.25 eV/cell
crystal system: cubic
formation energy: -0.87 eV/atom

[2]
VASP calculation (r²SCAN) on crystalline Er2TiO5 at its relaxed geometry.

abc: 10.2397 3.6402 11.1725
angles: 90.00 90.00 90.00
With the nearest neighbours (Å) after each atom.
Space group Pnma (No. 62)
Asymmetric unit:
Er 0.1182 0.2500 0.2245  7 O 2.25-2.33
Er 0.1358 0.2500 0.5565  7 O 2.28-2.32
Ti 0.1714 0.2500 0.8823  5 O 1.78-1.94
O 0.0020 0.2500 0.8463  1 Ti 1.78
O 0.0060 0.7500 0.6052  4 Er 2.29-2.32
O 0.2244 0.2500 0.0452  1 Ti 1.90
O 0.2373 0.7500 0.8850  2 Ti 1.94
O 0.2467 0.7500 0.2295  1 Ti 1.90

Results
VASP energy: -563.79 eV/cell
crystal system: orthorhombic
formation energy: -3.79 eV/atom

[3]
VASP calculation (r²SCAN) on crystalline Lu3P6Pd20 at its relaxed geometry.

abc: 12.1350 12.1350 12.1350
angles: 90.00 90.00 90.00
With the nearest neighbours (Å) after each atom.
Space group Fm-3m (No. 225)
Asymmetric unit:
Lu 0.0000 0.0000 0.0000  12 Pd 2.96, 6 P 3.20
Lu 0.2500 0.2500 0.2500  4 Pd 2.80
P 0.0000 0.0000 0.2636  8 Pd 2.37-2.47
Pd 0.0000 0.1722 0.1722  2 P 2.37
Pd 0.1168 0.1168 0.3832  3 P 2.47

Results
VASP energy: -2598.16 eV/cell
crystal system: cubic
formation energy: -0.76 eV/atom

[4]
VASP calculation (r²SCAN) on crystalline Ca5Rh at its relaxed geometry.

abc: 7.6303 16.0292 6.7747
angles: 90.00 90.00 90.00
With the nearest neighbours (Å) after each atom.
Space group Pnma (No. 62)
Asymmetric unit:
Ca 0.0344 0.1458 0.1767  2 Rh 2.96-3.01
Ca 0.0921 0.7500 0.3456  2 Rh 2.84-2.88
Ca 0.1918 0.0643 0.6459  1 Rh 3.24
Rh 0.2398 0.2500 0.4652  6 Ca 2.84-3.01

Results
VASP energy: -242.36 eV/cell
crystal system: orthorhombic
formation energy: -0.21 eV/atom

[5]
VASP calculation (r²SCAN) on crystalline ErSi2 at its relaxed geometry.

abc: 4.0701 4.0701 3.8615
angles: 90.00 90.00 120.00
With the nearest neighbours (Å) after each atom.
Space group P6/mmm (No. 191)
Asymmetric unit:
Er 0.0000 0.0000 0.0000  12 Si 3.04
Si 0.3333 0.6667 0.5000  3 Si 2.35

Results
VASP energy: -52.98 eV/cell
crystal system: hexagonal
formation energy: -0.50 eV/atom

[6]
VASP calculation (r²SCAN) on crystalline Sm6Ge3Se14 at its relaxed geometry.

abc: 10.5401 10.5401 6.0662
angles: 90.00 90.00 120.00
With the nearest neighbours (Å) after each atom.
Space group P3 (No. 143)
Asymmetric unit:
Sm 0.0253 0.5614 0.0000  7 Se 2.93-3.14
Sm 0.3095 0.1058 0.5056  7 Se 2.95-3.17
Ge 0.0000 0.0000 0.9219  4 Se 2.32-2.38
Ge 0.3333 0.6667 0.4154  4 Se 2.32-2.37
Ge 0.6667 0.3333 0.2714  6 Se 2.77-2.84
Se 0.0000 0.0000 0.3047  1 Ge 2.32
Se 0.0845 0.8502 0.7608  1 Ge 2.38
Se 0.1834 0.4325 0.2558  1 Ge 2.37
Se 0.3333 0.6667 0.7983  1 Ge 2.32
Se 0.4108 0.1734 0.0332  1 Ge 2.77, 3 Sm 2.93-3.02
Se 0.5022 0.4272 0.5247  1 Ge 2.84, 3 Sm 2.95-3.03

Results
VASP energy: -455.63 eV/cell
crystal system: trigonal
formation energy: -1.53 eV/atom

[7]
VASP calculation (r²SCAN) on crystalline LiZrAu2 at its relaxed geometry.

abc: 6.5760 6.5760 6.5760
angles: 90.00 90.00 90.00
With the nearest neighbours (Å) after each atom.
Space group Fm-3m (No. 225)
Asymmetric unit:
Li 0.0000 0.0000 0.0000  8 Au 2.85
Zr 0.0000 0.0000 0.5000  8 Au 2.85
Au 0.2500 0.2500 0.2500  4 Zr 2.85, 4 Li 2.85

Results
VASP energy: -514.66 eV/cell
crystal system: cubic
formation energy: -0.59 eV/atom

[8]
VASP calculation (r²SCAN) on crystalline GePt3 at its relaxed geometry.

abc: 7.8302 7.8248 5.5883
angles: 90.00 134.36 90.00
With the nearest neighbours (Å) after each atom.
Space group C2/m (No. 12)
Asymmetric unit:
Ge 0.2487 0.0000 0.9999  8 Pt 2.49-2.78
Pt 0.0000 0.2492 0.0000  4 Ge 2.76-2.78, 8 Pt 2.83-2.84
Pt 0.0000 0.3084 0.5000  2 Ge 2.50
Pt 0.1928 0.0000 0.5023  2 Ge 2.49-2.50

Results
VASP energy: -678.50 eV/cell
crystal system: monoclinic
formation energy: -0.32 eV/atom

Copy entry 7 word for word.
VASP calculation (r²SCAN) on crystalline LiZrAu2 at its relaxed geometry.

abc: 6.5760 6.5760 6.5760
angles: 90.00 90.00 90.00
With the nearest neighbours (Å) after each atom.
Space group Fm-3m (No. 225)
Asymmetric unit:
Li 0.0000 0.0000 0.0000  8 Au 2.85
Zr 0.0000 0.0000 0.5000  8 Au 2.85
Au 0.2500 0.2500 0.2500  4 Zr 2.85, 4 Li 2.85

Results
VASP energy: -514.66 eV/cell
crystal system: cubic
formation energy: -0.59 eV/atom